# Tb2SiO5 PBE relaxed
# formation energy from the elements: -3.785 eV per atom
# DFT total energy: -8.285 eV per atom
# SG: P2_1/c
data_Tb2SiO5
_cell_length_a 7.0576
_cell_length_b 6.7138
_cell_length_c 9.1357
_cell_angle_alpha 72.59
_cell_angle_beta 90.00
_cell_angle_gamma 90.00
_space_group_name_H-M_alt 'P 1'
_space_group_IT_number 1
loop_
_space_group_symop_operation_xyz
'x,y,z'
loop_
_atom_site_label
_atom_site_fract_x
_atom_site_fract_y
_atom_site_fract_z
O1 0.4570 0.7519 0.3683
Si1 0.5866 0.9608 0.2983
Si2 0.0866 0.5392 0.7017
O2 0.8631 0.5084 0.1144
O3 0.1369 0.4916 0.8856
Si3 0.9134 0.4608 0.2983
O4 0.6213 0.4483 0.8844
O5 0.2309 0.0490 0.5939
O6 0.0716 0.6452 0.2948
Tb1 0.3527 0.4177 0.3849
O7 0.7691 0.9510 0.4061
O8 0.3631 0.9916 0.8856
O9 0.6369 0.0084 0.1144
Tb2 0.3758 0.2665 0.0265
O10 0.9570 0.7481 0.6317
O11 0.1213 0.0517 0.1156
O12 0.7309 0.4510 0.4061
O13 0.2691 0.5490 0.5939
Tb3 0.1473 0.9177 0.3849
Tb4 0.8527 0.0823 0.6151
O14 0.4284 0.1452 0.2948
Tb5 0.6242 0.7335 0.9735
O15 0.9284 0.3548 0.7052
Tb6 0.1242 0.7665 0.0265
O16 0.0430 0.2519 0.3683
O17 0.5430 0.2481 0.6317
Si4 0.4134 0.0392 0.7017
O18 0.3787 0.5517 0.1156
Tb7 0.8758 0.2335 0.9735
O19 0.5716 0.8548 0.7052
O20 0.8787 0.9483 0.8844
Tb8 0.6473 0.5823 0.6151

***

# TbSiO3 PBE relaxed
# formation energy from the elements: -2.816 eV per atom
# total moment: 0.00 μB/f.u.
# DFT total energy: -7.385 eV per atom
# SG: Pm-3m
data_TbSiO3
_cell_length_a 3.7283
_cell_length_b 3.7283
_cell_length_c 3.7283
_cell_angle_alpha 90.00
_cell_angle_beta 90.00
_cell_angle_gamma 90.00
_space_group_name_H-M_alt 'P 1'
_space_group_IT_number 1
loop_
_space_group_symop_operation_xyz
'x,y,z'
loop_
_atom_site_label
_atom_site_fract_x
_atom_site_fract_y
_atom_site_fract_z
O1 0.5000 0.5000 0.0000
Tb1 0.0000 0.0000 0.0000
O2 0.5000 0.0000 0.5000
O3 0.0000 0.5000 0.5000
Si1 0.5000 0.5000 0.5000